[1]
Compound: Nd2Ti2O7
Source: the Materials Project
Functional: r²SCAN
Structure: optimized geometry

a = 7.679 Å, b = 5.484 Å, c = 13.101 Å
α = 90.00°, β = 98.49°, γ = 90.00°
Sites, in units of the cell vectors:
Nd 0.145 0.000 0.072
Nd 0.229 0.405 0.410
Nd 0.281 0.893 0.621
Nd 0.351 0.432 0.883
Nd 0.649 0.932 0.117
Nd 0.719 0.393 0.379
Nd 0.771 0.905 0.590
Nd 0.855 0.500 0.928
Ti 0.031 0.408 0.619
Ti 0.074 0.932 0.820
Ti 0.414 0.440 0.175
Ti 0.472 0.907 0.379
Ti 0.528 0.407 0.621
Ti 0.586 0.940 0.825
Ti 0.926 0.432 0.180
Ti 0.969 0.908 0.381
O 0.022 0.092 0.683
O 0.043 0.670 0.519
O 0.079 0.201 0.906
O 0.116 0.605 0.727
O 0.130 0.715 0.929
O 0.174 0.340 0.195
O 0.223 0.962 0.391
O 0.273 0.319 0.592
O 0.327 0.999 0.806
O 0.374 0.725 0.112
O 0.409 0.232 0.058
O 0.433 0.588 0.319
O 0.467 0.669 0.521
O 0.497 0.601 0.730
O 0.503 0.101 0.270
O 0.533 0.169 0.479
O 0.567 0.088 0.681
O 0.591 0.732 0.942
O 0.626 0.225 0.888
O 0.673 0.499 0.194
O 0.727 0.819 0.408
O 0.777 0.462 0.609
O 0.826 0.840 0.805
O 0.870 0.215 0.071
O 0.884 0.105 0.273
O 0.921 0.701 0.094
O 0.957 0.170 0.481
O 0.978 0.592 0.317

- Symmetry: P2_1 (4)
- Total DFT energy (no corrections): -664.9 eV per cell
- E_form: -348 kJ/mol of atoms



[2]
Compound: Ca2IrRhO6
Source: the Materials Project
Functional: r²SCAN
Structure: optimized geometry

a = 5.149 Å, b = 5.149 Å, c = 7.318 Å
α = 90.06°, β = 90.06°, γ = 35.59°
Sites, in units of the cell vectors:
Ca 0.249 0.249 0.243
Ca 0.751 0.751 0.757
Ir 0.000 0.000 0.500
Rh 0.000 0.000 0.000
O 0.077 0.077 0.747
O 0.373 0.373 0.949
O 0.374 0.374 0.552
O 0.626 0.626 0.448
O 0.627 0.627 0.051
O 0.923 0.923 0.253

- Symmetry: C2/m (12)
- Total DFT energy (no corrections): -145.6 eV per cell
- E_form: -185 kJ/mol of atoms



[3]
Compound: VF5
Source: the Materials Project
Functional: r²SCAN
Structure: optimized geometry

a = 5.582 Å, b = 6.315 Å, c = 10.004 Å
α = 90.00°, β = 90.11°, γ = 90.00°
Sites, in units of the cell vectors:
V 0.250 0.247 0.075
V 0.250 0.253 0.575
V 0.750 0.747 0.425
V 0.750 0.753 0.925
F 0.012 0.747 0.836
F 0.012 0.753 0.336
F 0.241 0.532 0.571
F 0.241 0.968 0.071
F 0.250 0.246 0.902
F 0.250 0.254 0.402
F 0.258 0.526 0.070
F 0.258 0.974 0.570
F 0.488 0.740 0.336
F 0.488 0.760 0.836
F 0.512 0.240 0.164
F 0.512 0.260 0.664
F 0.742 0.026 0.430
F 0.742 0.474 0.930
F 0.750 0.746 0.598
F 0.750 0.754 0.098
F 0.759 0.032 0.929
F 0.759 0.468 0.429
F 0.988 0.247 0.664
F 0.988 0.253 0.164

- Symmetry: P2_1/c (14)
- Total DFT energy (no corrections): -186.5 eV per cell
- E_form: -272 kJ/mol of atoms



[4]
Compound: PrMgGa
Source: the Materials Project
Functional: r²SCAN
Structure: optimized geometry

a = 7.493 Å, b = 7.493 Å, c = 4.563 Å
α = 90.00°, β = 90.00°, γ = 120.00°
Sites, in units of the cell vectors:
Pr 0.000 0.422 0.000
Pr 0.422 0.000 0.000
Pr 0.578 0.578 0.000
Mg 0.000 0.758 0.500
Mg 0.242 0.242 0.500
Mg 0.758 0.000 0.500
Ga 0.000 0.000 0.000
Ga 0.333 0.667 0.500
Ga 0.667 0.333 0.500

- Symmetry: P-62m (189)
- Total DFT energy (no corrections): -139.9 eV per cell
- E_form: -52 kJ/mol of atoms



[5]
Compound: Pr6Ge3S14
Source: the Materials Project
Functional: r²SCAN
Structure: optimized geometry

a = 10.330 Å, b = 10.330 Å, c = 5.815 Å
α = 90.00°, β = 90.00°, γ = 120.00°
Sites, in units of the cell vectors:
Pr 0.026 0.566 0.000
Pr 0.309 0.100 0.509
Pr 0.434 0.459 0.000
Pr 0.541 0.974 0.000
Pr 0.791 0.691 0.509
Pr 0.900 0.209 0.509
Ge 0.000 0.000 0.925
Ge 0.333 0.667 0.416
Ge 0.667 0.333 0.265
S 0.000 0.000 0.299
S 0.078 0.853 0.771
S 0.147 0.225 0.771
S 0.187 0.441 0.265
S 0.255 0.813 0.265
S 0.333 0.667 0.791
S 0.414 0.170 0.027
S 0.499 0.422 0.514
S 0.559 0.745 0.265
S 0.578 0.078 0.514
S 0.756 0.586 0.027
S 0.775 0.922 0.771
S 0.830 0.244 0.027
S 0.922 0.501 0.514

- Symmetry: P3 (143)
- Total DFT energy (no corrections): -369.6 eV per cell
- E_form: -164 kJ/mol of atoms



[6]
Compound: Yb2Ni21B6
Source: the Materials Project
Functional: r²SCAN
Structure: optimized geometry

a = 7.449 Å, b = 7.449 Å, c = 7.449 Å
α = 60.00°, β = 60.00°, γ = 60.00°
Sites, in units of the cell vectors:
Yb 0.250 0.250 0.250
Yb 0.750 0.750 0.750
Ni 0.000 0.000 0.000
Ni 0.000 0.000 0.337
Ni 0.000 0.000 0.663
Ni 0.000 0.337 0.000
Ni 0.000 0.337 0.663
Ni 0.000 0.663 0.000
Ni 0.000 0.663 0.337
Ni 0.161 0.613 0.613
Ni 0.337 0.000 0.000
Ni 0.337 0.000 0.663
Ni 0.337 0.663 0.000
Ni 0.387 0.387 0.387
Ni 0.387 0.387 0.839
Ni 0.387 0.839 0.387
Ni 0.613 0.161 0.613
Ni 0.613 0.613 0.161
Ni 0.613 0.613 0.613
Ni 0.663 0.000 0.000
Ni 0.663 0.000 0.337
Ni 0.663 0.337 0.000
Ni 0.839 0.387 0.387
B 0.271 0.271 0.729
B 0.271 0.729 0.271
B 0.271 0.729 0.729
B 0.729 0.271 0.271
B 0.729 0.271 0.729
B 0.729 0.729 0.271

- Symmetry: Fm-3m (225)
- Total DFT energy (no corrections): -378.9 eV per cell
- E_form: -34 kJ/mol of atoms



[7]
Compound: PtPbF6
Source: the Materials Project
Functional: r²SCAN
Structure: optimized geometry

a = 4.826 Å, b = 4.826 Å, c = 4.826 Å
α = 97.97°, β = 97.97°, γ = 97.97°
Sites, in units of the cell vectors:
Pt 0.000 0.000 0.000
Pb 0.500 0.500 0.500
F 0.062 0.706 0.706
F 0.294 0.294 0.938
F 0.294 0.938 0.294
F 0.706 0.062 0.706
F 0.706 0.706 0.062
F 0.938 0.294 0.294

- Symmetry: R-3m (166)
- Total DFT energy (no corrections): -142.1 eV per cell
- E_form: -187 kJ/mol of atoms



[8]
Compound: ThSi2Au2
Source: the Materials Project
Functional: r²SCAN
Structure: optimized geometry

a = 5.905 Å, b = 5.905 Å, c = 5.905 Å
α = 136.65°, β = 136.65°, γ = 62.97°
Sites, in units of the cell vectors:
Th 0.000 0.000 0.000
Si 0.385 0.385 0.000
Si 0.615 0.615 0.000
Au 0.250 0.750 0.500
Au 0.750 0.250 0.500

- Symmetry: I4/mmm (139)
- Total DFT energy (no corrections): -195.1 eV per cell
- E_form: -56 kJ/mol of atoms